RbFeF4 (r²SCAN, relaxed); magnetic moment = 5.00 μB/f.u.; space-group type = Pbcm; ΔH_f (0 K) = -2.7797 eV per atom
1.0
6.164 0.000 0.000
0.000 7.649 0.000
0.000 0.000 7.704
F Fe Rb
16 4 4
Direct
0.096 0.250 0.500
0.713 0.440 0.549
0.924 0.484 0.250
0.904 0.750 0.000
0.713 0.060 0.451
0.713 0.440 0.951
0.287 0.940 0.549
0.924 0.016 0.750
0.096 0.250 0.000
0.287 0.560 0.049
0.287 0.560 0.451
0.287 0.940 0.951
0.076 0.984 0.250
0.904 0.750 0.500
0.713 0.060 0.049
0.076 0.516 0.750
0.000 0.500 0.500
0.000 0.000 0.000
0.000 0.000 0.500
0.000 0.500 0.000
0.483 0.204 0.750
0.517 0.796 0.250
0.483 0.296 0.250
0.517 0.704 0.750



TiAu2 (r²SCAN, relaxed); magnetic moment = 0.51 μB/f.u.; space-group type = I4/mmm; ΔH_f (0 K) = -0.4833 eV per atom
1.0
3.437 0.000 0.000
0.000 3.437 0.000
-1.719 -1.719 4.289
Ti Au
1 2
Direct
0.000 0.000 0.000
0.664 0.664 0.329
0.336 0.336 0.671



CeTh3O8 (r²SCAN, relaxed); magnetic moment = 0.00 μB/f.u.; space-group type = Cmmm; ΔH_f (0 K) = -4.1060 eV per atom
1.0
-3.272 -1.550 1.541
3.180 -0.775 5.974
-0.872 5.598 3.781
O Th Ce
8 3 1
Direct
0.500 0.125 0.125
0.000 0.129 0.623
0.000 0.871 0.377
0.000 0.623 0.129
0.500 0.378 0.378
0.000 0.377 0.871
0.500 0.875 0.875
0.500 0.622 0.622
0.500 0.000 0.500
0.000 0.000 0.000
0.500 0.500 0.000
0.000 0.500 0.500



Pr3Si2 (r²SCAN, relaxed); magnetic moment = 0.90 μB/f.u.; space-group type = P4/mbm; ΔH_f (0 K) = -0.6783 eV per atom
1.0
0.000 0.000 4.411
7.850 0.000 0.000
0.000 7.850 0.000
Pr Si
6 4
Direct
0.500 0.177 0.677
0.500 0.823 0.323
0.500 0.677 0.823
0.000 0.000 0.000
0.000 0.500 0.500
0.500 0.323 0.177
0.000 0.610 0.110
0.000 0.110 0.390
0.000 0.890 0.610
0.000 0.390 0.890



LiSmHg2 (r²SCAN, relaxed); magnetic moment = 0.00 μB/f.u.; space-group type = Fm-3m; ΔH_f (0 K) = -0.5175 eV per atom
1.0
0.000 3.579 3.579
3.579 0.000 3.579
3.579 3.579 0.000
Sm Hg Li
1 2 1
Direct
0.750 0.750 0.750
0.500 0.500 0.500
0.000 0.000 0.000
0.250 0.250 0.250



Ce3Ni2Sn7 (r²SCAN, relaxed); magnetic moment = 2.19 μB/f.u.; space-group type = Cmmm; ΔH_f (0 K) = -0.5847 eV per atom
1.0
-10.761 3.164 8.138
7.768 -1.801 -11.334
-1.552 -4.301 -0.380
Ce Sn Ni
3 7 2
Direct
0.185 0.815 0.000
0.500 0.500 0.500
0.815 0.185 0.000
0.000 0.000 0.000
0.412 0.588 0.000
0.588 0.412 0.000
0.282 0.718 0.500
0.718 0.282 0.500
0.912 0.088 0.500
0.088 0.912 0.500
0.627 0.373 0.500
0.373 0.627 0.500



ErPb3 (r²SCAN, relaxed); magnetic moment = 0.00 μB/f.u.; space-group type = Pm-3m; ΔH_f (0 K) = -0.3047 eV per atom
1.0
-0.273 -4.014 2.685
1.150 -2.666 -3.869
4.691 0.420 1.105
Pb Er
3 1
Direct
0.500 0.000 0.500
0.500 0.500 0.000
0.000 0.500 0.500
0.000 0.000 0.000



Gd4Ga12Pd (r²SCAN, relaxed); magnetic moment = 14.14 μB/f.u.; space-group type = Im-3m; ΔH_f (0 K) = -0.6313 eV per atom
1.0
5.273 -5.224 -0.816
-5.958 -2.980 3.362
-1.976 2.610 -6.706
Ga Gd Pd
12 4 1
Direct
0.000 0.703 0.703
0.500 0.750 0.250
0.703 0.000 0.703
0.297 0.297 0.000
0.250 0.500 0.750
0.750 0.500 0.250
0.250 0.750 0.500
0.750 0.250 0.500
0.297 0.000 0.297
0.703 0.703 0.000
0.500 0.250 0.750
0.000 0.297 0.297
0.500 0.500 0.500
0.000 0.000 0.500
0.500 0.000 0.000
0.000 0.500 0.000
0.000 0.000 0.000



Rb2TeCl6 (r²SCAN, relaxed); magnetic moment = 0.00 μB/f.u.; space-group type = Fm-3m; ΔH_f (0 K) = -1.3999 eV per atom
1.0
6.299 0.000 3.636
2.100 5.938 3.636
0.000 0.000 7.273
Cl Rb Te
6 2 1
Direct
0.248 0.752 0.752
0.752 0.248 0.752
0.752 0.248 0.248
0.248 0.752 0.248
0.248 0.248 0.752
0.752 0.752 0.248
0.250 0.250 0.250
0.750 0.750 0.750
0.000 0.000 0.000



SiO2 (r²SCAN, relaxed); magnetic moment = 0.00 μB/f.u.; space-group type = Cc; ΔH_f (0 K) = -3.0310 eV per atom
1.0
-1.644 -2.444 4.058
3.406 -2.159 -2.980
6.187 3.176 4.567
Si O
4 8
Direct
0.370 0.779 0.288
0.446 0.708 0.663
0.779 0.370 0.788
0.708 0.446 0.163
0.540 0.011 0.765
0.686 0.585 0.686
0.446 0.790 0.475
0.440 0.114 0.225
0.114 0.440 0.725
0.011 0.540 0.265
0.585 0.686 0.186
0.790 0.446 0.975



TbAg3 (r²SCAN, relaxed); magnetic moment = 0.00 μB/f.u.; space-group type = P6_3/mmc; ΔH_f (0 K) = -0.2196 eV per atom
1.0
6.281 0.000 0.000
-3.140 5.439 0.000
0.000 0.000 4.815
Ag Tb
6 2
Direct
0.155 0.845 0.250
0.310 0.155 0.750
0.155 0.310 0.250
0.845 0.690 0.750
0.690 0.845 0.250
0.845 0.155 0.750
0.667 0.333 0.250
0.333 0.667 0.750



BaCl2 (r²SCAN, relaxed); magnetic moment = 0.00 μB/f.u.; space-group type = Pnma; ΔH_f (0 K) = -2.8097 eV per atom
1.0
4.771 0.000 0.000
0.000 7.918 0.000
0.000 0.000 9.524
Cl Ba
8 4
Direct
0.250 0.528 0.671
0.250 0.028 0.829
0.750 0.356 0.930
0.750 0.472 0.329
0.750 0.856 0.570
0.250 0.144 0.430
0.750 0.972 0.171
0.250 0.644 0.070
0.750 0.251 0.617
0.250 0.249 0.117
0.250 0.749 0.383
0.750 0.751 0.883



Q: The lowest ΔH_f (0 K) belongs to which entry?
A: CeTh3O8



Q: ΔH_f (0 K) of number 2 (TiAu2)?
A: -0.4833 eV per atom



Q: The highest magnetic moment belongs to which entry?
A: Gd4Ga12Pd



Q: What is the ΔH_f (0 K) in the fifth record?
A: -0.5175 eV per atom